Entry 1:
# CaEr2S4

CaEr2S4 after structural relaxation (PBE, Materials Project).

Summary:
Energy relative to the elements, meV per atom: -2387
SG: Pnma, No. 62
Relative energy among the computed polymorphs, meV per atom: 0

Cell: 12.880 3.872 13.110 Å, 90.00 90.00 90.00°
Element x y z (fractional)
Ca  0.131  0.250  0.078
Ca  0.369  0.750  0.578
Ca  0.631  0.250  0.422
Ca  0.869  0.750  0.922
Er  0.107  0.750  0.416
Er  0.147  0.750  0.796
Er  0.353  0.250  0.296
Er  0.393  0.250  0.916
Er  0.607  0.750  0.084
Er  0.647  0.750  0.704
Er  0.853  0.250  0.204
Er  0.893  0.250  0.584
S  0.030  0.250  0.882
S  0.034  0.750  0.617
S  0.217  0.750  0.238
S  0.242  0.250  0.473
S  0.258  0.750  0.973
S  0.283  0.250  0.738
S  0.466  0.250  0.117
S  0.470  0.750  0.382
S  0.530  0.250  0.618
S  0.534  0.750  0.883
S  0.717  0.750  0.262
S  0.742  0.250  0.027
S  0.758  0.750  0.527
S  0.783  0.250  0.762
S  0.966  0.250  0.383
S  0.970  0.750  0.118



Entry 2:
# LiZn2Au

LiZn2Au after structural relaxation (PBE, Materials Project).

Summary:
Energy relative to the elements, meV per atom: -371
SG: Fm-3m, No. 225

Cell: 4.428 4.428 4.428 Å, 60.00 60.00 60.00°
Element x y z (fractional)
Li  0.000  0.000  0.000
Zn  0.250  0.250  0.250
Zn  0.750  0.750  0.750
Au  0.500  0.500  0.500



Entry 3:
# Ti2C3N6

Ti2C3N6 after structural relaxation (PBE, Materials Project).

Summary:
Energy relative to the elements, meV per atom: -595
SG: C2/c, No. 15
Relative energy among the computed polymorphs, meV per atom: 0

Cell: 5.646 5.646 10.213 Å, 106.09 106.09 60.04°
Element x y z (fractional)
Ti  0.165  0.667  0.000
Ti  0.333  0.835  0.500
Ti  0.667  0.165  0.500
Ti  0.835  0.333  0.000
C  0.066  0.934  0.750
C  0.250  0.434  0.250
C  0.434  0.250  0.750
C  0.566  0.750  0.250
C  0.750  0.566  0.750
C  0.934  0.066  0.250
N  0.049  0.928  0.626
N  0.072  0.951  0.874
N  0.149  0.428  0.127
N  0.351  0.451  0.374
N  0.428  0.149  0.627
N  0.451  0.351  0.874
N  0.549  0.649  0.126
N  0.572  0.851  0.373
N  0.649  0.549  0.626
N  0.851  0.572  0.873
N  0.928  0.049  0.126
N  0.951  0.072  0.374



Entry 4:
# Ba2ReO5

Ba2ReO5 after structural relaxation (PBE, Materials Project).

Summary:
Energy relative to the elements, meV per atom: -2741
SG: Pnma, No. 62

Cell: 7.454 5.757 11.720 Å, 90.00 90.00 90.00°
Element x y z (fractional)
Ba  0.022  0.250  0.215
Ba  0.165  0.750  0.420
Ba  0.335  0.250  0.920
Ba  0.478  0.750  0.715
Ba  0.522  0.250  0.285
Ba  0.665  0.750  0.080
Ba  0.835  0.250  0.580
Ba  0.978  0.750  0.785
Re  0.169  0.750  0.063
Re  0.331  0.250  0.563
Re  0.669  0.750  0.437
Re  0.831  0.250  0.937
O  0.000  0.000  0.000
O  0.000  0.500  0.000
O  0.022  0.750  0.193
O  0.178  0.012  0.615
O  0.178  0.488  0.615
O  0.222  0.250  0.410
O  0.278  0.750  0.910
O  0.322  0.512  0.115
O  0.322  0.988  0.115
O  0.478  0.250  0.693
O  0.500  0.000  0.500
O  0.500  0.500  0.500
O  0.522  0.750  0.307
O  0.678  0.012  0.885
O  0.678  0.488  0.885
O  0.722  0.250  0.090
O  0.778  0.750  0.590
O  0.822  0.512  0.385
O  0.822  0.988  0.385
O  0.978  0.250  0.807



Entry 5:
# SrSiO3

SrSiO3 after structural relaxation (PBE, Materials Project).

Summary:
Energy relative to the elements, meV per atom: -3442
SG: C2/c, No. 15

Cell: 7.217 7.217 10.995 Å, 108.62 108.62 60.19°
Element x y z (fractional)
Sr  0.000  0.500  0.000
Sr  0.152  0.674  0.501
Sr  0.326  0.848  0.999
Sr  0.500  0.000  0.500
Sr  0.674  0.152  0.001
Sr  0.848  0.326  0.499
Si  0.169  0.831  0.250
Si  0.334  0.418  0.754
Si  0.418  0.334  0.254
Si  0.582  0.666  0.746
Si  0.666  0.582  0.246
Si  0.831  0.169  0.750
O  0.019  0.887  0.111
O  0.113  0.981  0.389
O  0.184  0.372  0.615
O  0.204  0.583  0.252
O  0.281  0.465  0.895
O  0.368  0.632  0.750
O  0.372  0.184  0.115
O  0.417  0.796  0.248
O  0.465  0.281  0.395
O  0.535  0.719  0.605
O  0.583  0.204  0.752
O  0.628  0.816  0.885
O  0.632  0.368  0.250
O  0.719  0.535  0.105
O  0.796  0.417  0.748
O  0.816  0.628  0.385
O  0.887  0.019  0.611
O  0.981  0.113  0.889



Entry 6:
# Na2Cu5Si4O14

Na2Cu5Si4O14 after structural relaxation (PBE, Materials Project).

Summary:
Energy relative to the elements, meV per atom: -2154
SG: P-1, No. 2
Relative energy among the computed polymorphs, meV per atom: 0

Cell: 5.834 7.927 8.114 Å, 63.32 86.93 68.92°
Element x y z (fractional)
Na  0.232  0.131  0.059
Na  0.768  0.869  0.941
Cu  0.185  0.435  0.226
Cu  0.417  0.396  0.681
Cu  0.500  0.000  0.500
Cu  0.583  0.604  0.319
Cu  0.815  0.565  0.774
Si  0.014  0.239  0.635
Si  0.309  0.787  0.909
Si  0.691  0.213  0.091
Si  0.986  0.761  0.365
O  0.064  0.004  0.794
O  0.091  0.358  0.733
O  0.193  0.221  0.475
O  0.196  0.610  0.971
O  0.280  0.644  0.449
O  0.423  0.804  0.077
O  0.486  0.205  0.243
O  0.514  0.795  0.757
O  0.577  0.196  0.923
O  0.720  0.356  0.551
O  0.804  0.390  0.029
O  0.807  0.779  0.525
O  0.909  0.642  0.267
O  0.936  0.996  0.206